## Ba2Pr4MgCu2O10 (PBE-GGA)

Data for an optimized crystal structure of Ba2Pr4MgCu2O10.

Values from the calculation:
- Symmetry: No. 65
- Volume: 17.3 Å³/atom
- Final energy: -123.7 eV/cell

a = 5.9935 Å, b = 7.4493 Å, c = 7.4493 Å
α = 99.67°, β = 90.00°, γ = 90.00°
Atoms (fractional coordinates):
O1 0.2606 0.3563 0.8563
O2 0.7394 0.6437 0.1437
O3 0.7394 0.3563 0.8563
O4 0.2606 0.6437 0.1437
O5 0.7527 0.1279 0.3721
O6 0.7527 0.8721 0.6279
O7 0.5000 0.5000 0.5000
O8 0.2473 0.1279 0.3721
O9 0.5000 0.0000 0.0000
O10 0.2473 0.8721 0.6279
Ba1 0.0000 0.5000 0.5000
Ba2 0.0000 0.0000 0.0000
Mg1 0.5000 0.5000 0.0000
Cu1 0.0000 0.5000 0.0000
Cu2 0.0000 0.0000 0.5000
Pr1 0.5000 0.2662 0.2338
Pr2 0.5000 0.1751 0.6751
Pr3 0.5000 0.7338 0.7662
Pr4 0.5000 0.8249 0.3249

***

## Ba2PrMgCu3O7 (PBE-GGA)

Data for an optimized crystal structure of Ba2PrMgCu3O7.

Values from the calculation:
- Symmetry: No. 25
- Volume: 15.9 Å³/atom
- Final energy: -80.9 eV/cell

a = 3.7702 Å, b = 4.0274 Å, c = 14.6525 Å
α = 90.00°, β = 90.00°, γ = 90.00°
Atoms (fractional coordinates):
Cu1 0.0000 0.0000 0.6415
Cu2 0.0000 0.0000 0.4108
Cu3 0.0000 0.0000 0.9371
O1 0.5000 0.0000 0.9831
O2 0.5000 0.0000 0.4044
O3 0.0000 0.5000 0.6329
O4 0.0000 0.0000 0.2063
O5 0.0000 0.0000 0.8048
O6 0.5000 0.0000 0.6148
O7 0.0000 0.5000 0.4163
Ba1 0.5000 0.5000 0.7766
Ba2 0.5000 0.5000 0.0862
Pr1 0.5000 0.5000 0.5184
Mg1 0.5000 0.0000 0.2725

***

## Ba2MgCuTeO6 (PBE-GGA)

Data for an optimized crystal structure of Ba2MgCuTeO6.

Values from the calculation:
- Symmetry: No. 2
- Volume: 17.2 Å³/atom
- Final energy: -62.1 eV/cell

a = 7.4967 Å, b = 7.0142 Å, c = 6.2688 Å
α = 122.73°, β = 119.13°, γ = 101.22°
Atoms (fractional coordinates):
O1 0.7498 0.8826 0.5753
O2 0.1638 0.4397 0.8494
O3 0.3696 0.1823 0.9580
O4 0.6304 0.8177 0.0420
O5 0.8362 0.5603 0.1506
O6 0.2502 0.1174 0.4247
Ba1 0.3185 0.7160 0.4879
Ba2 0.6815 0.2840 0.5121
Te1 0.5000 0.5000 0.0000
Cu1 0.0000 0.0000 0.0000
Mg1 0.0000 0.0000 0.5000

***

## Ba2MgCuTeO6 (PBE-GGA)

Data for an optimized crystal structure of Ba2MgCuTeO6.

Values from the calculation:
- Symmetry: No. 12
- Volume: 17.0 Å³/atom
- Final energy: -61.0 eV/cell

a = 5.7857 Å, b = 5.8412 Å, c = 6.8822 Å
α = 115.03°, β = 114.81°, γ = 90.10°
Atoms (fractional coordinates):
Ba1 0.8178 0.3179 0.6356
Ba2 0.1822 0.6821 0.3644
O1 0.2492 0.2368 0.0002
O2 0.2489 0.7622 0.0000
O3 0.7508 0.7632 0.9998
O4 0.3077 0.3078 0.6155
O5 0.7511 0.2378 0.0000
O6 0.6923 0.6922 0.3845
Te1 0.5000 0.5000 0.0000
Cu1 0.0000 0.0000 0.0000
Mg1 0.5000 0.0000 0.0000

***

## BaYMgTiCuO5 (PBE-GGA)

Data for an optimized crystal structure of BaYMgTiCuO5.

Values from the calculation:
- Symmetry: No. 99
- Volume: 14.7 Å³/atom
- Final energy: -67.2 eV/cell

a = 3.9411 Å, b = 3.9412 Å, c = 9.4487 Å
α = 90.03°, β = 90.03°, γ = 90.01°
Atoms (fractional coordinates):
O1 0.5000 0.0001 0.2866
O2 0.5001 0.5001 0.9321
O3 0.0001 0.5000 0.2866
O4 0.9999 0.4998 0.6266
O5 0.4998 0.9999 0.6266
Cu1 0.5001 0.5001 0.2799
Ba1 0.9999 0.9999 0.0481
Y1 0.0002 0.0002 0.4107
Ti1 0.5000 0.5000 0.7367
Mg1 0.9999 0.9999 0.7040

***

## BaYMgTiCuO5 (PBE-GGA)

Data for an optimized crystal structure of BaYMgTiCuO5.

Values from the calculation:
- Symmetry: No. 6
- Volume: 15.6 Å³/atom
- Final energy: -69.3 eV/cell

a = 3.8458 Å, b = 4.1145 Å, c = 10.3162 Å
α = 106.63°, β = 90.00°, γ = 90.00°
Atoms (fractional coordinates):
O1 0.5000 0.6071 0.8263
O2 0.0000 0.5237 0.2735
O3 0.5000 0.9764 0.6426
O4 0.0000 0.4906 0.5965
O5 0.5000 0.1677 0.4295
Ti1 0.5000 0.4903 0.6356
Mg1 0.5000 0.1270 0.8498
Ba1 0.0000 0.7878 0.0784
Cu1 0.5000 0.4133 0.2722
Y1 0.0000 0.9161 0.4752

***

Number 1: magnetic moment 0.00 μB per cell, energy relative to the elements -2.544 eV/atom. Number 2: magnetic moment 0.00 μB per cell, energy relative to the elements -2.040 eV/atom. Number 3: magnetic moment 0.00 μB per cell, energy relative to the elements -2.167 eV/atom. Number 4: magnetic moment 0.00 μB per cell, energy relative to the elements -2.071 eV/atom. Number 5: magnetic moment 0.41 μB per cell, energy relative to the elements -2.391 eV/atom. Number 6: magnetic moment 0.00 μB per cell, energy relative to the elements -2.605 eV/atom.